The following is a GGA-PBE calculation of crystalline Ce4Sn25Pt12 at its relaxed geometry, from the Materials Project.

Cell: 10.7091 10.7091 10.7091 Å, 109.47 109.47 109.47°
Element x y z (fractional)
Ce  0.0000  0.5000  0.0000
Ce  0.0000  0.0000  0.5000
Ce  0.5000  0.5000  0.5000
Ce  0.5000  0.0000  0.0000
Sn  0.7502  0.6272  0.8769
Sn  0.6201  0.3734  0.9935
Sn  0.1231  0.7502  0.8733
Sn  0.1231  0.2498  0.3728
Sn  0.3799  0.3734  0.7532
Sn  0.0000  0.0000  0.0000
Sn  0.1267  0.8769  0.2498
Sn  0.6272  0.8769  0.7502
Sn  0.3728  0.1231  0.2498
Sn  0.8733  0.1231  0.7502
Sn  0.3734  0.7532  0.3799
Sn  0.2498  0.1267  0.8769
Sn  0.0065  0.3799  0.6266
Sn  0.9935  0.6201  0.3734
Sn  0.2498  0.3728  0.1231
Sn  0.6266  0.2468  0.6201
Sn  0.8769  0.2498  0.1267
Sn  0.2468  0.6201  0.6266
Sn  0.7502  0.8733  0.1231
Sn  0.7532  0.3799  0.3734
Sn  0.6266  0.0065  0.3799
Sn  0.3734  0.9935  0.6201
Sn  0.8769  0.7502  0.6272
Sn  0.3799  0.6266  0.0065
Sn  0.6201  0.6266  0.2468
Pt  0.4870  0.3194  0.1676
Pt  0.1518  0.3194  0.8324
Pt  0.1676  0.8482  0.6806
Pt  0.3194  0.1676  0.4870
Pt  0.8482  0.6806  0.1676
Pt  0.8324  0.5130  0.6806
Pt  0.3194  0.8324  0.1518
Pt  0.6806  0.1676  0.8482
Pt  0.6806  0.8324  0.5130
Pt  0.8324  0.1518  0.3194
Pt  0.1676  0.4870  0.3194
Pt  0.5130  0.6806  0.8324

E_tot = -5.3494 eV/atom
DFT formation energy = -0.549 eV per atom

=====

The following is a GGA-PBE calculation of crystalline ZrF4 at its relaxed geometry, from the Materials Project.

Cell: 5.7063 5.6593 8.0987 Å, 74.09 90.00 90.00°
Element x y z (fractional)
Zr  0.6674  0.2115  0.3301
Zr  0.1674  0.7885  0.1699
Zr  0.3326  0.7885  0.6699
Zr  0.8326  0.2115  0.8301
F  0.6563  0.8589  0.5210
F  0.1563  0.1411  0.9790
F  0.3437  0.1411  0.4790
F  0.8437  0.8589  0.0210
F  0.4595  0.9959  0.2080
F  0.9595  0.0041  0.2920
F  0.5405  0.0041  0.7920
F  0.0405  0.9959  0.7080
F  0.4593  0.5169  0.2343
F  0.9593  0.4831  0.2657
F  0.5407  0.4831  0.7657
F  0.0407  0.5169  0.7343
F  0.7582  0.3144  0.5474
F  0.2582  0.6856  0.9526
F  0.2418  0.6856  0.4526
F  0.7418  0.3144  0.0474

E_tot = -6.8716 eV/atom
DFT formation energy = -4.000 eV per atom

=====

The following is a GGA-PBE calculation of crystalline Tb6RuBr10 at its relaxed geometry, from the Materials Project.

Cell: 7.3821 9.2349 9.2834 Å, 108.83 97.12 105.92°
Element x y z (fractional)
Tb  0.1222  0.0438  0.7499
Tb  0.8778  0.9562  0.2501
Tb  0.9770  0.2993  0.0941
Tb  0.0230  0.7007  0.9059
Tb  0.3649  0.1407  0.1823
Tb  0.6351  0.8593  0.8177
Ru  0.0000  0.0000  0.0000
Br  0.5501  0.1783  0.9154
Br  0.4499  0.8217  0.0846
Br  0.3625  0.4629  0.2776
Br  0.6375  0.5371  0.7224
Br  0.2589  0.0862  0.4610
Br  0.7411  0.9138  0.5390
Br  0.7995  0.2644  0.3548
Br  0.2005  0.7356  0.6452
Br  0.0888  0.3697  0.8259
Br  0.9112  0.6303  0.1741

E_tot = -4.7160 eV/atom
DFT formation energy = -1.886 eV per atom

=====

The following is a GGA-PBE calculation of crystalline DyTmHg2 at its relaxed geometry, from the Materials Project.

Cell: 5.2371 5.2371 5.2371 Å, 60.00 60.00 60.00°
Element x y z (fractional)
Dy  0.5000  0.5000  0.5000
Tm  0.0000  0.0000  0.0000
Hg  0.2500  0.2500  0.2500
Hg  0.7500  0.7500  0.7500

E_tot = -2.9002 eV/atom
DFT formation energy = -0.478 eV per atom

=====

Repeat the fourth record exactly.
The following is a GGA-PBE calculation of crystalline DyTmHg2 at its relaxed geometry, from the Materials Project.

Cell: 5.2371 5.2371 5.2371 Å, 60.00 60.00 60.00°
Element x y z (fractional)
Dy  0.5000  0.5000  0.5000
Tm  0.0000  0.0000  0.0000
Hg  0.2500  0.2500  0.2500
Hg  0.7500  0.7500  0.7500

E_tot = -2.9002 eV/atom
DFT formation energy = -0.478 eV per atom